No. 1
CaGe2Ir2 | PBE | relaxed

Lattice parameters (Å, degrees): 4.1964 4.1964 10.4691 90.00 90.00 90.00
With the nearest neighbours (Å) after each atom.
Fractional coordinates of all 10 atoms:
Ca 0.0000 0.0000 0.0000  8 Ge 3.24, 8 Ir 3.35
Ca 0.5000 0.5000 0.5000  8 Ge 3.24, 8 Ir 3.35
Ge 0.0000 0.0000 0.3753  4 Ir 2.47, 1 Ge 2.61
Ge 0.0000 0.0000 0.6247  4 Ir 2.47, 1 Ge 2.61
Ge 0.5000 0.5000 0.1247  4 Ir 2.47, 1 Ge 2.61
Ge 0.5000 0.5000 0.8753  4 Ir 2.47, 1 Ge 2.61
Ir 0.0000 0.5000 0.2500  4 Ge 2.47
Ir 0.0000 0.5000 0.7500  4 Ge 2.47
Ir 0.5000 0.0000 0.2500  4 Ge 2.47
Ir 0.5000 0.0000 0.7500  4 Ge 2.47

## Properties
ΔH_f (0 K)   -667 meV per atom
Symmetry   I4/mmm, No. 139

No. 2
Rb2Cu2Sb2S5 | PBE | relaxed

Lattice parameters (Å, degrees): 16.7661 10.4624 6.6839 90.00 99.79 90.00
With the nearest neighbours (Å) after each atom.
Fractional coordinates of all 44 atoms:
Rb 0.0379 0.1411 0.2394  6 S 3.29-3.50
Rb 0.0379 0.3589 0.7394  6 S 3.29-3.50
Rb 0.4329 0.1167 0.2348  8 S 3.37-3.64
Rb 0.4329 0.3833 0.7348  8 S 3.37-3.64
Rb 0.5671 0.6167 0.2652  8 S 3.37-3.64
Rb 0.5671 0.8833 0.7652  8 S 3.37-3.64
Rb 0.9621 0.6411 0.2606  6 S 3.29-3.50
Rb 0.9621 0.8589 0.7606  6 S 3.29-3.50
Cu 0.1461 0.6483 0.0222  3 S 2.29-2.35
Cu 0.1461 0.8517 0.5222  3 S 2.29-2.35
Cu 0.2460 0.1393 0.5768  4 S 2.36-2.43
Cu 0.2460 0.3607 0.0768  4 S 2.36-2.43
Cu 0.7540 0.6393 0.9232  4 S 2.36-2.43
Cu 0.7540 0.8607 0.4232  4 S 2.36-2.43
Cu 0.8539 0.1483 0.4778  3 S 2.29-2.35
Cu 0.8539 0.3517 0.9778  3 S 2.29-2.35
Sb 0.2166 0.5368 0.5109  3 S 2.45-2.52
Sb 0.2166 0.9632 0.0109  3 S 2.45-2.52
Sb 0.3175 0.6499 0.1191  3 S 2.40-2.55
Sb 0.3175 0.8501 0.6191  3 S 2.40-2.55
Sb 0.6825 0.1499 0.3809  3 S 2.40-2.55
Sb 0.6825 0.3501 0.8809  3 S 2.40-2.55
Sb 0.7834 0.0368 0.9891  3 S 2.45-2.52
Sb 0.7834 0.4632 0.4891  3 S 2.45-2.52
S 0.1156 0.6591 0.6743  2 Cu 2.30-2.35, 1 Sb 2.52
S 0.1156 0.8409 0.1743  2 Cu 2.30-2.35, 1 Sb 2.52
S 0.1316 0.0376 0.6929  2 Cu 2.29-2.43, 1 Sb 2.47
S 0.1316 0.4624 0.1929  2 Cu 2.29-2.43, 1 Sb 2.47
S 0.2325 0.1568 0.2202  2 Cu 2.36-2.37, 1 Sb 2.45
S 0.2325 0.3432 0.7202  2 Cu 2.36-2.37, 1 Sb 2.45
S 0.3761 0.0546 0.7189  1 Cu 2.40, 1 Sb 2.40
S 0.3761 0.4454 0.2189  1 Cu 2.40, 1 Sb 2.40
S 0.4032 0.6933 0.8560  2 Sb 2.49-2.55
S 0.4032 0.8067 0.3560  2 Sb 2.49-2.55
S 0.5968 0.1933 0.6440  2 Sb 2.49-2.55
S 0.5968 0.3067 0.1440  2 Sb 2.49-2.55
S 0.6239 0.5546 0.7811  1 Cu 2.40, 1 Sb 2.40
S 0.6239 0.9454 0.2811  1 Cu 2.40, 1 Sb 2.40
S 0.7675 0.6568 0.2798  2 Cu 2.36-2.37, 1 Sb 2.45
S 0.7675 0.8432 0.7798  2 Cu 2.36-2.37, 1 Sb 2.45
S 0.8684 0.5376 0.8071  2 Cu 2.29-2.43, 1 Sb 2.47
S 0.8684 0.9624 0.3071  2 Cu 2.29-2.43, 1 Sb 2.47
S 0.8844 0.1591 0.8257  2 Cu 2.30-2.35, 1 Sb 2.52
S 0.8844 0.3409 0.3257  2 Cu 2.30-2.35, 1 Sb 2.52

## Properties
ΔH_f (0 K)   -798 meV per atom
Symmetry   P2_1/c, No. 14

No. 3
NbCoGe | PBE | relaxed

Lattice parameters (Å, degrees): 6.3612 3.7688 7.1737 90.00 90.00 90.00
With the nearest neighbours (Å) after each atom.
Fractional coordinates of all 12 atoms:
Nb 0.0210 0.2500 0.1854  5 Ge 2.68-2.71, 5 Co 2.80-2.99
Nb 0.4790 0.7500 0.6854  5 Ge 2.68-2.71, 5 Co 2.80-2.99
Nb 0.5210 0.2500 0.3146  5 Ge 2.68-2.71, 5 Co 2.80-2.99
Nb 0.9790 0.7500 0.8146  5 Ge 2.68-2.71, 5 Co 2.80-2.99
Co 0.1398 0.2500 0.5636  4 Ge 2.36-2.43
Co 0.3602 0.7500 0.0636  4 Ge 2.36-2.43
Co 0.6398 0.2500 0.9364  4 Ge 2.36-2.43
Co 0.8602 0.7500 0.4364  4 Ge 2.36-2.43
Ge 0.2319 0.7500 0.3833  4 Co 2.36-2.43
Ge 0.2681 0.2500 0.8833  4 Co 2.36-2.43
Ge 0.7319 0.7500 0.1167  4 Co 2.36-2.43
Ge 0.7681 0.2500 0.6167  4 Co 2.36-2.43

## Properties
ΔH_f (0 K)   -469 meV per atom
Symmetry   Pnma, No. 62

Values of total DFT energy (no corrections), in order: -64.53, -181.44, -92.96, all in eV per cell.